[1]
The following is a DFT calculation (PBE-GGA) of a geometry-optimized U structure.

## Properties
* ΔE to the lowest computed polymorph: 360 meV per atom
* E_tot: -10.93 eV/f.u.
* energy of formation: 0.360 eV/atom

Geometry as POSCAR:
```
U
1.0
5.822 0.000 0.000
0.000 11.388 0.000
0.000 0.000 5.043
U
16
direct
0.218 0.000 0.000 U
0.220 0.376 0.500 U
0.220 0.624 0.500 U
0.250 0.250 0.000 U
0.250 0.750 0.000 U
0.280 0.124 0.500 U
0.280 0.876 0.500 U
0.282 0.500 0.000 U
0.718 0.500 0.000 U
0.720 0.124 0.500 U
0.720 0.876 0.500 U
0.750 0.250 0.000 U
0.750 0.750 0.000 U
0.780 0.376 0.500 U
0.780 0.624 0.500 U
0.782 0.000 0.000 U
```

[2]
The following is a DFT calculation (PBE-GGA) of a geometry-optimized Tm3Al2 structure.

## Properties
* E_tot: -22.55 eV/f.u.
* energy of formation: -0.327 eV/atom

Geometry as POSCAR:
```
Tm3Al2
1.0
8.121 0.000 0.000
0.000 8.121 0.000
0.000 0.000 7.497
Tm Al
12 8
direct
0.000 0.500 0.250 Tm
0.000 0.500 0.750 Tm
0.151 0.151 0.000 Tm
0.203 0.203 0.500 Tm
0.297 0.703 0.000 Tm
0.349 0.651 0.500 Tm
0.500 0.000 0.250 Tm
0.500 0.000 0.750 Tm
0.651 0.349 0.500 Tm
0.703 0.297 0.000 Tm
0.797 0.797 0.500 Tm
0.849 0.849 0.000 Tm
0.119 0.881 0.304 Al
0.119 0.881 0.696 Al
0.381 0.381 0.196 Al
0.381 0.381 0.804 Al
0.619 0.619 0.196 Al
0.619 0.619 0.804 Al
0.881 0.119 0.304 Al
0.881 0.119 0.696 Al
```